Entry 1:
## CdB2F8 (r2SCAN)

Data for a relaxed CdB2F8 crystal.

Cell and atoms, written as POSCAR:
```
CdB2F8
1.0
-6.6387 -5.3402 1.6571
1.9956 0.2771 8.8878
-7.9266 10.3066 1.4584
Cd F B
8 64 16
Direct
0.2184 0.9669 0.1037
0.2184 0.4669 0.3963
0.7816 0.5331 0.6037
0.2816 0.9669 0.6037
0.7184 0.0331 0.3963
0.7184 0.5331 0.1037
0.2816 0.4669 0.8963
0.7816 0.0331 0.8963
0.7750 0.7495 0.1851
0.5748 0.8779 0.8759
0.7383 0.9166 0.5551
0.8864 0.7976 0.8781
0.4252 0.6221 0.3759
0.5998 0.1722 0.5228
0.4254 0.3514 0.4808
0.5273 0.9148 0.6621
0.0998 0.8278 0.9772
0.7383 0.4166 0.9449
0.2250 0.2505 0.8149
0.9727 0.9148 0.1621
0.2383 0.0834 0.9449
0.6136 0.2976 0.1219
0.3864 0.7024 0.8781
0.2250 0.7505 0.6851
0.1136 0.2024 0.1219
0.6136 0.7976 0.3781
0.2383 0.5834 0.5551
0.8864 0.2976 0.6219
0.9252 0.3779 0.1241
0.9254 0.6486 0.0192
0.4002 0.8278 0.4772
0.5748 0.3779 0.6241
0.0273 0.5851 0.6621
0.2372 0.5073 0.2213
0.4254 0.8514 0.0192
0.2617 0.5834 0.0551
0.4727 0.0852 0.3379
0.9252 0.8779 0.3759
0.7250 0.2495 0.8149
0.2628 0.0073 0.7787
0.5273 0.4148 0.8379
0.4252 0.1221 0.1241
0.0746 0.3514 0.9808
0.2617 0.0834 0.4449
0.7750 0.2495 0.3149
0.9254 0.1486 0.4808
0.7617 0.9166 0.0551
0.9727 0.4148 0.3379
0.2750 0.7505 0.1851
0.5746 0.1486 0.9808
0.7628 0.9927 0.7213
0.1136 0.7024 0.3781
0.4727 0.5851 0.1621
0.7372 0.9927 0.2213
0.4002 0.3278 0.0228
0.5998 0.6722 0.9772
0.3864 0.2024 0.6219
0.0746 0.8514 0.5192
0.2372 0.0073 0.2787
0.0998 0.3278 0.5228
0.0748 0.1221 0.6241
0.7250 0.7495 0.6851
0.7628 0.4927 0.7787
0.5746 0.6486 0.5192
0.9002 0.1722 0.0228
0.0273 0.0852 0.8379
0.7617 0.4166 0.4449
0.2628 0.5073 0.7213
0.2750 0.2505 0.3149
0.7372 0.4927 0.2787
0.0748 0.6221 0.8759
0.9002 0.6722 0.4772
0.3123 0.1061 0.3439
0.1877 0.6061 0.6561
0.4956 0.2770 0.5622
0.9956 0.7230 0.9378
0.8123 0.3939 0.3439
0.4956 0.7770 0.9378
0.5044 0.2230 0.0622
0.8123 0.8939 0.1561
0.3123 0.6061 0.1561
0.0044 0.2770 0.0622
0.0044 0.7770 0.4378
0.6877 0.3939 0.8439
0.6877 0.8939 0.6561
0.1877 0.1061 0.8439
0.9956 0.2230 0.5622
0.5044 0.7230 0.4378
```

magnetization	0.0	μB/f.u.
energy of formation from the pure elements	-2891	meV per atom


Entry 2:
## Rb2NbCl6 (r2SCAN)

Data for a relaxed Rb2NbCl6 crystal.

Cell and atoms, written as POSCAR:
```
Rb2NbCl6
1.0
-0.7930 -7.0089 -1.0551
2.4282 -4.6333 4.8480
-4.5930 -3.7112 3.9998
Nb Cl Rb
1 6 2
Direct
0.0000 0.0000 0.0000
0.2411 0.7589 0.2411
0.7589 0.7589 0.2411
0.2411 0.7589 0.7589
0.7589 0.2411 0.7589
0.2411 0.2411 0.7589
0.7589 0.2411 0.2411
0.7500 0.7500 0.7500
0.2500 0.2500 0.2500
```

magnetization	1.0	μB/f.u.
energy of formation from the pure elements	-1818	meV per atom


Entry 3:
## HoGa3Ru (r2SCAN)

Data for a relaxed HoGa3Ru crystal.

Cell and atoms, written as POSCAR:
```
HoGa3Ru
1.0
-1.4544 6.1680 0.5620
-5.4752 -1.0106 -3.0782
-2.8951 -1.1874 5.5393
Ho Ga Ru
3 9 3
Direct
0.5000 0.5000 0.0000
0.0000 0.5000 0.5000
0.5000 0.0000 0.5000
0.7903 0.7903 0.7903
0.7903 0.2097 0.2097
0.5000 0.5000 0.5000
0.7903 0.7903 0.2097
0.7903 0.2097 0.7903
0.2097 0.2097 0.2097
0.2097 0.7903 0.7903
0.2097 0.7903 0.2097
0.2097 0.2097 0.7903
0.0000 0.0000 0.5000
0.0000 0.5000 0.0000
0.5000 0.0000 0.0000
```

magnetization	0.0	μB/f.u.
energy of formation from the pure elements	-639	meV per atom


Entry 4:
## Na3Co4O8 (r2SCAN)

Data for a relaxed Na3Co4O8 crystal.

Cell and atoms, written as POSCAR:
```
Na3Co4O8
1.0
-2.7608 0.3028 -0.6214
-2.3530 -4.7895 8.1200
-0.2002 9.2467 5.3961
O Co Na
16 8 6
Direct
0.0000 0.7071 0.8352
0.5000 0.2929 0.3352
0.5000 0.9551 0.1610
0.5000 0.7934 0.3482
0.0000 0.5376 0.6572
0.0000 0.2066 0.8482
0.0000 0.0449 0.3390
0.5000 0.9551 0.8390
0.5000 0.4624 0.8428
0.5000 0.7934 0.6518
0.0000 0.5376 0.3428
0.0000 0.7071 0.1648
0.0000 0.0449 0.6610
0.5000 0.4624 0.1572
0.0000 0.2066 0.1518
0.5000 0.2929 0.6648
0.5000 0.1258 0.7528
0.5000 0.6238 0.7450
0.0000 0.8742 0.2528
0.5000 0.6238 0.2550
0.0000 0.3762 0.2450
0.5000 0.1258 0.2472
0.0000 0.8742 0.7472
0.0000 0.3762 0.7550
0.0000 0.6961 0.5000
0.0000 0.3557 0.5000
0.5000 0.9933 0.5000
0.5000 0.3039 0.0000
0.0000 0.0067 0.0000
0.5000 0.6443 0.0000
```

magnetization	1.0	μB/f.u.
energy of formation from the pure elements	-1548	meV per atom


Entry 5:
## Li5Mg (r2SCAN)

Data for a relaxed Li5Mg crystal.

Cell and atoms, written as POSCAR:
```
Li5Mg
1.0
0.0000 0.0000 5.0532
4.5675 2.6371 0.0000
0.0000 5.2741 0.0000
Li Mg
5 1
Direct
0.0000 0.6667 0.6656
0.5000 0.0000 0.6667
0.5000 0.3333 0.0000
0.0000 0.3344 0.3333
0.0000 0.9989 0.0011
0.5000 0.6667 0.3333
```

energy relative to the lowest polymorph listed for this composition	0.001	eV/atom
magnetization	0.0	μB/f.u.
energy of formation from the pure elements	-14	meV per atom


Entry 6:
## TmAgSe2 (r2SCAN)

Data for a relaxed TmAgSe2 crystal.

Cell and atoms, written as POSCAR:
```
TmAgSe2
1.0
-0.4803 2.1211 -3.5621
-2.2014 -5.6555 -3.0707
-12.7845 3.0532 3.5418
Se Tm Ag
8 4 4
Direct
0.7301 0.4854 0.0271
0.2699 0.9854 0.4729
0.2301 0.0146 0.9729
0.2732 0.5868 0.2739
0.7268 0.0868 0.2261
0.7732 0.9132 0.7261
0.7699 0.5146 0.5271
0.2268 0.4132 0.7739
0.7732 0.7916 0.3715
0.7268 0.2084 0.8715
0.2732 0.7084 0.6285
0.2268 0.2916 0.1285
0.5055 0.7082 0.8755
0.9945 0.2918 0.3755
0.4945 0.2082 0.6245
0.0055 0.7918 0.1245
```

magnetization	0.0	μB/f.u.
energy of formation from the pure elements	-1405	meV per atom